Computed, not measured: a relaxed structure of LiAc2Tl at the GGA-PBE level of DFT.

The structure belongs to space group Fm-3m (No. 225); the cell edges are 8.200, 8.200 and 8.200 Å and the angles 90.00°, 90.00° and 90.00°. The distinct sites, in fractional coordinates, are Li at (0.000, 0.000, 0.000), Ac at (0.250, 0.250, 0.250) and Tl at (0.000, 0.000, 0.500).

The calculation puts the energy of formation at -0.17 eV/atom. For the volume, the calculation gives 551.3 Å³/cell.